No. 1
Material: K5BS4O16
Method: DFT, PBE-GGA
State: relaxed

Cell lengths 10.103, 10.103, 16.530 Å; angles 90.00, 90.00, 90.00 degrees
Space group P4_1 (No. 76)
Inequivalent atoms, fractional coordinates:
K1 0.005 0.256 0.066 [4 per cell]
K2 0.084 0.846 0.217 [4 per cell]
K3 0.175 0.647 0.000 [4 per cell]
K4 0.253 0.547 0.421 [4 per cell]
K5 0.327 0.595 0.771 [4 per cell]
B1 0.015 0.493 0.248 [4 per cell]
S1 0.011 0.770 0.783 [4 per cell]
S2 0.100 0.343 0.864 [4 per cell]
S3 0.119 0.400 0.613 [4 per cell]
S4 0.276 0.514 0.207 [4 per cell]
O1 0.007 0.415 0.680 [4 per cell]
O2 0.017 0.644 0.723 [4 per cell]
O3 0.022 0.882 0.726 [4 per cell]
O4 0.027 0.707 0.395 [4 per cell]
O5 0.070 0.479 0.818 [4 per cell]
O6 0.081 0.490 0.547 [4 per cell]
O7 0.105 0.261 0.590 [4 per cell]
O8 0.115 0.234 0.326 [4 per cell]
O9 0.126 0.759 0.837 [4 per cell]
O10 0.156 0.511 0.271 [4 per cell]
O11 0.162 0.253 0.805 [4 per cell]
O12 0.191 0.388 0.928 [4 per cell]
O13 0.247 0.435 0.649 [4 per cell]
O14 0.249 0.415 0.144 [4 per cell]
O15 0.283 0.650 0.175 [4 per cell]
O16 0.391 0.479 0.258 [4 per cell]

Properties
For the formation energy, the calculation gives -2.24 eV/atom. The value obtained for the total magnetization is 0.00 μB/atom. The calculation puts the total energy at -5.96 eV/atom. As for the density: 2.33 g/cm3.



No. 2
Material: LiIn2
Method: DFT, PBE-GGA
State: relaxed

Cell lengths 10.603, 10.603, 10.603 Å; angles 90.00, 90.00, 90.00 degrees
Space group Fd-3m (No. 227, origin choice 2)
Inequivalent atoms, fractional coordinates:
Li1 0.000 0.000 0.000 [16 per cell]
In1 0.020 0.020 0.730 [32 per cell]

Properties
For the formation energy, the calculation gives -0.03 eV/atom. The calculation puts the total energy at -2.50 eV/atom. As for the density: 5.27 g/cm3.



No. 3
Material: BaCaTi4O12
Method: DFT, PBE-GGA
State: relaxed

Cell lengths 5.547, 5.547, 7.830 Å; angles 90.00, 90.00, 90.00 degrees
Space group P4/mmm (No. 123)
Inequivalent atoms, fractional coordinates:
Ba1 0.000 0.000 0.000 [1 per cell]
Ca1 0.500 0.500 0.500 [1 per cell]
Ti1 0.000 0.500 0.253 [4 per cell]
O1 0.000 0.500 0.000 [2 per cell]
O2 0.000 0.500 0.500 [2 per cell]
O3 0.255 0.255 0.258 [8 per cell]

Properties
For the formation energy, the calculation gives -2.95 eV/atom. The value obtained for the total magnetization is 0.22 μB/atom. The calculation puts the total energy at -7.77 eV/atom. As for the density: 3.87 g/cm3.